[1]
The following is a PBE calculation of a relaxed KLa5C2Cl10 crystal, from Materials Project.

Energy with MP2020 corrections in eV per atom: -5.811
ρ in Mg/m³: 3.74
Magnetic moment in μB per cell: 0.0
Energy of formation from the pure elements in eV/atom: -2.33

The structure in extended XYZ format:
```
72
Lattice="8.620 0.000 0.000 0.000 15.276 0.000 -8.524 0.000 14.992" Properties=species:S:1:pos:R:3 pbc="T T T"
K -2.110 0.726 3.937
K -6.372 6.912 11.433
K 6.467 8.364 3.559
K 2.205 14.550 11.054
La -7.860 3.595 14.377
La -3.598 4.043 6.881
La -2.110 0.911 8.669
La 2.152 6.727 1.173
La 2.157 0.555 1.271
La -2.105 7.083 8.766
La 1.309 3.738 3.458
La -2.953 3.900 10.954
La -0.165 11.309 6.600
La -4.427 11.604 14.096
La 4.523 3.671 0.896
La 0.261 3.966 8.392
La 3.048 11.375 4.037
La -1.214 11.538 11.533
La 2.201 8.193 6.225
La -2.061 14.720 13.721
La -2.057 8.549 13.818
La 2.205 14.365 6.322
La 3.694 11.233 8.110
La 7.956 11.681 0.615
C -2.106 3.247 8.730
C 2.156 4.391 1.235
C 2.180 2.913 1.234
C -2.083 4.725 8.729
C 2.178 10.551 6.262
C -2.084 12.363 13.758
C -2.061 10.885 13.757
C 2.201 12.028 6.261
Cl -4.954 8.416 8.792
Cl -0.692 14.497 1.296
Cl -3.118 11.156 5.655
Cl -7.380 11.757 13.151
Cl -0.291 8.867 1.019
Cl -4.553 14.046 8.515
Cl 0.013 11.284 3.660
Cl -4.249 11.630 11.156
Cl -0.959 3.464 5.591
Cl -5.221 4.174 13.086
Cl -3.664 1.102 11.062
Cl 0.598 6.536 3.567
Cl -5.033 8.733 14.000
Cl -0.771 14.180 6.504
Cl -0.633 8.475 6.277
Cl -4.895 14.438 13.772
Cl -2.059 10.485 8.810
Cl 2.203 12.428 1.314
Cl 1.072 0.877 3.986
Cl -3.190 6.761 11.481
Cl 3.286 8.515 3.510
Cl -0.976 14.399 11.006
Cl -2.107 2.847 13.677
Cl 2.155 4.790 6.182
Cl 4.990 0.838 1.219
Cl 0.728 6.800 8.715
Cl 0.866 1.095 8.487
Cl 5.128 6.542 0.992
Cl -0.503 8.740 11.425
Cl 3.759 14.174 3.929
Cl 5.317 11.102 1.905
Cl 1.055 11.812 9.401
Cl 4.345 3.646 3.836
Cl 0.083 3.992 11.331
Cl 4.649 1.229 6.477
Cl 0.387 6.408 13.973
Cl 7.476 3.519 1.841
Cl 3.214 4.119 9.337
Cl 0.787 0.778 13.695
Cl 5.049 6.859 6.200
```



[2]
The following is a PBE calculation of a relaxed KNa22C2S9ClO42 crystal, from Materials Project.

Energy with MP2020 corrections in eV per atom: -6.025
ρ in Mg/m³: 2.48
Energy of formation from the pure elements in eV/atom: -2.19

The structure in extended XYZ format:
```
154
Lattice="10.613 0.000 0.000 -5.307 9.191 0.000 0.000 0.000 21.495" Properties=species:S:1:pos:R:3 pbc="T T T"
K 0.000 0.000 0.000
K 0.000 0.000 10.748
Na 0.000 0.000 3.732
Na 0.000 0.000 7.015
Na 0.000 0.000 14.480
Na 0.000 0.000 17.763
Na -2.653 4.596 0.000
Na -2.653 4.596 10.748
Na -2.249 4.890 3.459
Na -2.249 4.890 7.288
Na -2.669 7.342 16.121
Na -0.022 3.319 1.594
Na -0.022 3.319 9.154
Na -2.421 7.551 1.594
Na -2.421 7.551 9.154
Na 0.283 3.209 16.121
Na 0.000 6.128 13.430
Na 0.000 6.128 18.812
Na 2.921 1.360 5.374
Na 2.864 1.679 12.341
Na 2.864 1.679 19.901
Na 2.196 4.799 3.459
Na 2.196 4.799 7.288
Na 0.053 8.694 3.459
Na 0.053 8.694 7.288
Na 5.307 0.000 0.000
Na 5.307 0.000 10.748
Na 2.653 4.596 0.000
Na 2.653 4.596 10.748
Na 5.254 0.497 14.207
Na 5.254 0.497 18.036
Na 3.110 4.393 14.207
Na 3.110 4.393 18.036
Na 2.443 7.513 1.594
Na 2.443 7.513 9.154
Na 2.386 7.832 16.121
Na 5.307 3.064 2.683
Na 5.307 3.064 8.065
Na 5.024 5.982 5.374
Na 7.728 1.641 12.341
Na 7.728 1.641 19.901
Na 5.329 5.872 12.341
Na 5.329 5.872 19.901
Na 7.975 1.850 5.374
Na 7.556 4.301 14.207
Na 7.556 4.301 18.036
C 0.000 6.128 1.499
C 0.000 6.128 9.248
C 5.307 3.064 12.247
C 5.307 3.064 19.996
S -2.620 7.271 5.374
S -2.610 7.619 12.706
S -2.610 7.619 19.536
S 0.013 3.122 12.706
S 0.013 3.122 19.536
S 0.320 3.287 5.374
S 2.710 1.550 1.959
S 2.710 1.550 8.789
S 3.006 1.366 16.121
S 2.300 7.825 5.374
S 2.596 7.642 12.706
S 2.596 7.642 19.536
S 4.986 5.905 16.121
S 5.294 6.069 1.959
S 5.294 6.069 8.789
S 7.916 1.572 1.959
S 7.916 1.572 8.789
S 7.927 1.921 16.121
Cl 0.000 6.128 16.121
Cl 5.307 3.064 5.374
O -3.297 5.922 5.374
O -0.611 1.802 13.019
O -0.611 1.802 19.223
O -3.166 6.950 11.486
O -3.166 6.950 20.757
O -0.104 1.848 5.374
O -3.654 8.357 5.374
O -2.635 6.652 13.844
O -2.635 6.652 18.399
O -1.062 4.139 12.480
O -1.062 4.139 19.763
O -3.440 8.819 13.019
O -3.440 8.819 19.223
O -1.126 5.475 1.504
O -1.126 5.475 9.244
O 1.256 1.430 2.272
O 1.256 1.430 8.476
O -0.178 3.964 4.146
O -0.178 3.964 6.602
O 1.548 1.014 16.121
O -1.785 7.363 4.146
O -1.785 7.363 6.602
O 0.871 2.974 11.486
O 0.871 2.974 20.757
O 0.863 3.583 13.844
O 0.863 3.583 18.399
O 3.011 0.733 0.738
O 3.011 0.733 10.009
O -1.191 8.042 12.480
O -1.191 8.042 19.763
O 1.827 3.375 5.374
O 3.837 0.105 16.121
O 3.535 1.044 3.096
O 3.535 1.044 7.651
O 1.128 5.479 1.504
O 1.128 5.479 9.244
O -0.003 7.429 1.504
O -0.003 7.429 9.244
O 3.344 2.136 14.893
O 3.344 2.136 17.349
O 3.053 2.989 1.732
O 3.053 2.989 9.015
O 2.254 6.202 12.480
O 2.254 6.202 19.763
O 1.963 7.056 4.146
O 1.963 7.056 6.602
O 5.309 1.763 12.251
O 5.309 1.763 19.991
O 4.179 3.712 12.251
O 4.179 3.712 19.991
O 1.772 8.147 13.844
O 1.772 8.147 18.399
O 1.470 9.086 5.374
O 3.480 5.816 16.121
O 6.498 1.149 1.732
O 6.498 1.149 9.015
O 2.295 8.458 11.486
O 2.295 8.458 20.757
O 4.444 5.608 3.096
O 4.444 5.608 7.651
O 4.436 6.217 0.738
O 4.436 6.217 10.009
O 7.092 1.828 14.893
O 7.092 1.828 17.349
O 3.758 8.177 5.374
O 5.484 5.228 14.893
O 5.484 5.228 17.349
O 4.051 7.761 13.019
O 4.051 7.761 19.223
O 6.432 3.717 12.251
O 6.432 3.717 19.991
O 8.747 0.372 2.272
O 8.747 0.372 8.476
O 6.369 5.053 1.732
O 6.369 5.053 9.015
O 7.941 2.539 3.096
O 7.941 2.539 7.651
O 8.961 0.834 16.121
O 5.411 7.343 16.121
O 8.473 2.241 0.738
O 8.473 2.241 10.009
O 5.917 7.389 2.272
O 5.917 7.389 8.476
O 8.604 3.270 16.121
```



[3]
The following is a PBE calculation of a relaxed KZn2Ru2C4Cl2O24 crystal, from Materials Project.

Energy with MP2020 corrections in eV per atom: -5.808
ρ in Mg/m³: 2.42
Magnetic moment in μB per cell: 0.3
Energy of formation from the pure elements in eV/atom: -0.62

The structure in extended XYZ format:
```
70
Lattice="7.653 -8.203 0.000 7.653 8.203 0.000 -2.286 0.000 9.579" Properties=species:S:1:pos:R:3 pbc="T T T"
K 1.320 0.000 4.143
K 11.700 0.000 5.436
Zn 3.826 4.102 0.000
Zn 2.683 4.102 4.789
Zn 3.826 -4.102 0.000
Zn 2.683 -4.102 4.789
Ru -1.793 0.000 8.522
Ru 4.882 0.000 8.496
Ru 8.138 0.000 1.083
Ru 14.813 0.000 1.057
C 1.688 1.953 0.788
C 1.688 -1.953 0.788
C 6.042 2.017 0.744
C 6.977 2.017 8.835
C 6.042 -2.017 0.744
C 6.977 -2.017 8.835
C 11.332 1.953 8.791
C 11.332 -1.953 8.791
Cl -0.681 0.000 6.390
Cl 3.736 0.000 6.403
Cl 9.284 0.000 3.176
Cl 13.700 0.000 3.189
O 10.068 -5.312 1.159
O 2.952 5.312 8.420
O 4.541 6.819 7.954
O -0.576 1.445 9.148
O 1.640 2.447 5.235
O 1.593 2.735 8.095
O 2.685 2.226 4.353
O 8.479 6.819 1.624
O 5.425 3.050 1.063
O 4.757 3.543 6.206
O -0.576 -1.445 9.148
O 5.775 4.238 6.229
O 7.245 4.238 3.349
O 3.655 1.434 9.140
O 1.640 -2.447 5.235
O 10.068 5.312 1.159
O 8.263 3.543 3.373
O 2.685 -2.226 4.353
O 6.863 1.413 1.593
O 5.990 1.078 4.460
O 1.593 -2.735 8.095
O 6.157 1.413 7.985
O 7.595 3.050 8.515
O 3.655 -1.434 9.140
O 7.030 1.078 5.118
O 5.990 -1.078 4.460
O 9.365 1.434 0.438
O 5.425 -3.050 1.063
O 6.863 -1.413 1.593
O 11.427 2.735 1.484
O 7.030 -1.078 5.118
O 6.157 -1.413 7.985
O 10.335 2.226 5.225
O 4.757 -3.543 6.206
O 2.952 -5.312 8.420
O 11.380 2.447 4.344
O 9.365 -1.434 0.438
O 5.775 -4.238 6.229
O 7.245 -4.238 3.349
O 13.596 1.445 0.431
O 8.263 -3.543 3.373
O 7.595 -3.050 8.515
O 4.541 -6.819 7.954
O 10.335 -2.226 5.225
O 11.427 -2.735 1.484
O 11.380 -2.447 4.344
O 13.596 -1.445 0.431
O 8.479 -6.819 1.624
```



[4]
The following is a PBE calculation of a relaxed KPr5C2Cl10 crystal, from Materials Project.

Energy with MP2020 corrections in eV per atom: -5.652
ρ in Mg/m³: 3.81
Magnetic moment in μB per cell: 0.0
Energy of formation from the pure elements in eV/atom: -2.21

The structure in extended XYZ format:
```
36
Lattice="8.616 0.000 0.000 -4.308 7.461 0.000 0.000 0.000 15.211" Properties=species:S:1:pos:R:3 pbc="T T T"
K 0.000 0.000 0.000
K 0.000 0.000 7.606
Pr -1.497 3.117 3.038
Pr 0.000 4.974 0.005
Pr 0.000 4.974 6.096
Pr -0.860 7.200 3.038
Pr 1.950 2.855 10.644
Pr 2.357 4.606 3.038
Pr 5.168 0.262 10.644
Pr 4.308 2.487 7.611
Pr 4.308 2.487 13.702
Pr 5.805 4.345 10.644
C 0.000 4.974 2.335
C 0.000 4.974 3.779
C 4.308 2.487 9.941
C 4.308 2.487 11.385
Cl -2.765 4.872 7.820
Cl -1.011 1.881 10.650
Cl -2.697 4.900 13.448
Cl -2.174 7.396 10.650
Cl 1.124 1.816 3.044
Cl 0.000 4.974 9.980
Cl 1.413 2.676 13.448
Cl 1.471 2.631 7.820
Cl 3.014 0.041 0.215
Cl 3.024 0.114 5.843
Cl 1.284 7.348 13.448
Cl 1.294 7.420 7.820
Cl 2.836 4.830 0.215
Cl 2.895 4.786 5.843
Cl 4.308 2.487 2.374
Cl 3.184 5.646 10.650
Cl 6.482 0.065 3.044
Cl 7.005 2.562 5.843
Cl 5.318 5.581 3.044
Cl 7.073 2.590 0.215
```



[5]
The following is a PBE calculation of a relaxed KZr6CCl15 crystal, from Materials Project.

Energy with MP2020 corrections in eV per atom: -6.084
ρ in Mg/m³: 2.84
Magnetic moment in μB per cell: 0.0
Energy of formation from the pure elements in eV/atom: -2.20

The structure in extended XYZ format:
```
92
Lattice="18.889 0.000 0.000 0.000 14.133 0.000 0.000 0.000 9.914" Properties=species:S:1:pos:R:3 pbc="T T T"
K 4.722 3.497 1.675
K 4.722 10.636 1.675
K 14.167 3.497 8.239
K 14.167 10.636 8.239
Zr 0.562 1.629 8.379
Zr 0.562 12.504 8.379
Zr 2.132 0.000 0.795
Zr 3.088 5.433 6.527
Zr 3.088 8.699 6.527
Zr 4.722 7.066 4.248
Zr 4.722 7.066 8.781
Zr 6.356 5.433 6.527
Zr 6.356 8.699 6.527
Zr 7.313 0.000 0.795
Zr 8.883 1.629 8.379
Zr 8.883 12.504 8.379
Zr 10.006 1.629 1.535
Zr 10.006 12.504 1.535
Zr 11.576 0.000 9.119
Zr 12.533 5.433 3.387
Zr 12.533 8.699 3.387
Zr 14.167 7.066 1.134
Zr 14.167 7.066 5.666
Zr 15.801 5.433 3.387
Zr 15.801 8.699 3.387
Zr 16.757 0.000 9.119
Zr 18.327 1.629 1.535
Zr 18.327 12.504 1.535
C 0.000 0.000 0.000
C 4.722 7.066 6.510
C 9.444 0.000 0.000
C 14.167 7.066 3.404
Cl 0.000 3.577 0.000
Cl 0.000 10.555 0.000
Cl 1.137 7.066 6.523
Cl 1.208 3.523 6.585
Cl 1.208 10.609 6.585
Cl 1.236 0.000 6.544
Cl 1.786 1.802 2.573
Cl 1.786 12.331 2.573
Cl 2.915 5.275 3.967
Cl 2.915 8.858 3.967
Cl 2.937 5.290 9.075
Cl 2.937 8.843 9.075
Cl 3.001 1.771 9.116
Cl 3.001 12.362 9.116
Cl 4.722 0.000 1.783
Cl 4.722 3.481 6.450
Cl 4.722 7.066 1.564
Cl 4.722 10.652 6.450
Cl 6.444 1.771 9.116
Cl 6.444 12.362 9.116
Cl 6.507 5.290 9.075
Cl 6.507 8.843 9.075
Cl 6.530 5.275 3.967
Cl 6.530 8.858 3.967
Cl 7.659 1.802 2.573
Cl 7.659 12.331 2.573
Cl 8.208 0.000 6.544
Cl 8.237 3.523 6.585
Cl 8.237 10.609 6.585
Cl 8.308 7.066 6.523
Cl 9.444 3.577 0.000
Cl 9.444 10.555 0.000
Cl 10.581 7.066 3.391
Cl 10.652 3.523 3.329
Cl 10.652 10.609 3.329
Cl 10.681 0.000 3.370
Cl 11.230 1.802 7.342
Cl 11.230 12.331 7.342
Cl 12.359 5.275 5.947
Cl 12.359 8.858 5.947
Cl 12.382 5.290 0.839
Cl 12.382 8.843 0.839
Cl 12.445 1.771 0.799
Cl 12.445 12.362 0.799
Cl 14.167 0.000 8.131
Cl 14.167 3.481 3.464
Cl 14.167 7.066 8.350
Cl 14.167 10.652 3.464
Cl 15.888 1.771 0.799
Cl 15.888 12.362 0.799
Cl 15.952 5.290 0.839
Cl 15.952 8.843 0.839
Cl 15.974 5.275 5.947
Cl 15.974 8.858 5.947
Cl 17.103 1.802 7.342
Cl 17.103 12.331 7.342
Cl 17.652 0.000 3.370
Cl 17.681 3.523 3.329
Cl 17.681 10.609 3.329
Cl 17.752 7.066 3.391
```



Question: Look up the ρ of the third one.
Answer: 2.42 Mg/m³



What did the fourth record say?
The following is a PBE calculation of a relaxed KPr5C2Cl10 crystal, from Materials Project.

Energy with MP2020 corrections in eV per atom: -5.652
ρ in Mg/m³: 3.81
Magnetic moment in μB per cell: 0.0
Energy of formation from the pure elements in eV/atom: -2.21

The structure in extended XYZ format:
```
36
Lattice="8.616 0.000 0.000 -4.308 7.461 0.000 0.000 0.000 15.211" Properties=species:S:1:pos:R:3 pbc="T T T"
K 0.000 0.000 0.000
K 0.000 0.000 7.606
Pr -1.497 3.117 3.038
Pr 0.000 4.974 0.005
Pr 0.000 4.974 6.096
Pr -0.860 7.200 3.038
Pr 1.950 2.855 10.644
Pr 2.357 4.606 3.038
Pr 5.168 0.262 10.644
Pr 4.308 2.487 7.611
Pr 4.308 2.487 13.702
Pr 5.805 4.345 10.644
C 0.000 4.974 2.335
C 0.000 4.974 3.779
C 4.308 2.487 9.941
C 4.308 2.487 11.385
Cl -2.765 4.872 7.820
Cl -1.011 1.881 10.650
Cl -2.697 4.900 13.448
Cl -2.174 7.396 10.650
Cl 1.124 1.816 3.044
Cl 0.000 4.974 9.980
Cl 1.413 2.676 13.448
Cl 1.471 2.631 7.820
Cl 3.014 0.041 0.215
Cl 3.024 0.114 5.843
Cl 1.284 7.348 13.448
Cl 1.294 7.420 7.820
Cl 2.836 4.830 0.215
Cl 2.895 4.786 5.843
Cl 4.308 2.487 2.374
Cl 3.184 5.646 10.650
Cl 6.482 0.065 3.044
Cl 7.005 2.562 5.843
Cl 5.318 5.581 3.044
Cl 7.073 2.590 0.215
```



Question: Look up the energy of formation from the pure elements of the second one.
Answer: -2.19 eV/atom